## Na2NiH6C4N4O3 (PBE+U)

Data for an optimized crystal structure of Na2NiH6C4N4O3.

* space group: P-1 (2)
* total energy: -0.2200 Ha/atom
* total magnetic moment: 0.0 μB/f.u.

Unit cell a=7.2989 b=8.8673 c=15.1504 alpha=89.32 beta=87.40 gamma=83.64
Positions (direct):
Na 0.0000 0.0000 0.0000
Na 0.0000 0.5000 0.5000
Na 0.2397 0.0680 0.1928
Na 0.3135 0.4243 0.3111
Na 0.4535 0.2579 0.7568
Na 0.5465 0.7421 0.2432
Na 0.6865 0.5757 0.6889
Na 0.7603 0.9320 0.8072
Ni 0.2457 0.5122 0.9868
Ni 0.2503 0.9884 0.5171
Ni 0.7497 0.0116 0.4829
Ni 0.7543 0.4878 0.0132
H 0.0121 0.6496 0.7723
H 0.0152 0.7307 0.6823
H 0.0309 0.3925 0.6910
H 0.0698 0.1012 0.8126
H 0.0913 0.7872 0.1482
H 0.0991 0.7104 0.3520
H 0.3630 0.4939 0.6154
H 0.4168 0.0220 0.9010
H 0.4247 0.8616 0.7279
H 0.4382 0.7695 0.8143
H 0.4588 0.8629 0.0658
H 0.4994 0.6339 0.4234
H 0.5006 0.3661 0.5766
H 0.5412 0.1371 0.9342
H 0.5618 0.2305 0.1857
H 0.5753 0.1384 0.2721
H 0.5832 0.9780 0.0990
H 0.6370 0.5061 0.3846
H 0.9009 0.2896 0.6480
H 0.9087 0.2128 0.8518
H 0.9302 0.8988 0.1874
H 0.9691 0.6075 0.3090
H 0.9848 0.2693 0.3177
H 0.9879 0.3504 0.2277
C 0.1916 0.4663 0.8722
C 0.2127 0.3166 0.0232
C 0.2232 0.7903 0.5504
C 0.2392 0.0429 0.6351
C 0.2675 0.9336 0.3994
C 0.2707 0.1869 0.4827
C 0.2767 0.7110 0.9552
C 0.3028 0.5533 0.1011
C 0.6972 0.4467 0.8989
C 0.7233 0.2890 0.0448
C 0.7293 0.8131 0.5173
C 0.7325 0.0664 0.6006
C 0.7608 0.9571 0.3649
C 0.7768 0.2097 0.4496
C 0.7873 0.6834 0.9768
C 0.8084 0.5337 0.1278
N 0.1596 0.4361 0.7995
N 0.1905 0.1941 0.0484
N 0.2030 0.6654 0.5724
N 0.2368 0.0734 0.7105
N 0.2775 0.3128 0.4591
N 0.2834 0.8979 0.3248
N 0.2966 0.8381 0.9378
N 0.3387 0.5808 0.1736
N 0.6613 0.4192 0.8264
N 0.7034 0.1619 0.0622
N 0.7166 0.1021 0.6752
N 0.7225 0.6872 0.5409
N 0.7632 0.9266 0.2895
N 0.7970 0.3346 0.4276
N 0.8095 0.8059 0.9516
N 0.8404 0.5639 0.2005
O 0.0356 0.8922 0.1439
O 0.0573 0.6095 0.3563
O 0.0623 0.2767 0.2637
O 0.4679 0.4206 0.6316
O 0.4922 0.2131 0.2410
O 0.4944 0.9082 0.1200
O 0.5056 0.0918 0.8800
O 0.5078 0.7869 0.7590
O 0.5321 0.5794 0.3684
O 0.9377 0.7233 0.7363
O 0.9427 0.3905 0.6437
O 0.9644 0.1078 0.8561